An optimized crystal structure of ZnNiP2O7, computed with GGA+U.

Structure (POSCAR):
```
ZnNiP2O7
1.0
0.4562 -0.2414 6.8284
6.4722 6.0009 -3.5229
-5.3514 5.9435 1.7427
O P Zn Ni
28 8 4 4
Direct
0.5750 0.6898 0.3551 O
0.4923 0.7551 0.0308 O
0.9115 0.7971 0.8328 O
0.8286 0.4348 0.8002 O
0.2379 0.9680 0.9593 O
0.9924 0.2550 0.5311 O
0.0884 0.2028 0.1671 O
0.8065 0.9948 0.4070 O
0.3647 0.8149 0.5573 O
0.5885 0.7029 0.6671 O
0.0752 0.1894 0.8551 O
0.5077 0.2448 0.9693 O
0.2625 0.5316 0.5408 O
0.6708 0.0651 0.6998 O
0.1934 0.0052 0.5932 O
0.6933 0.5052 0.0932 O
0.1343 0.6847 0.9433 O
0.7623 0.0320 0.0406 O
0.9248 0.8108 0.1448 O
0.6352 0.1851 0.4428 O
0.0075 0.7450 0.4689 O
0.8655 0.3153 0.0569 O
0.4113 0.2970 0.3331 O
0.3292 0.9349 0.3003 O
0.3066 0.4948 0.9068 O
0.4251 0.3104 0.6449 O
0.1713 0.5651 0.1998 O
0.7376 0.4685 0.4590 O
0.2117 0.8816 0.4743 P
0.7117 0.3816 0.9744 P
0.4513 0.6797 0.5276 P
0.5487 0.3204 0.4724 P
0.9515 0.1798 0.0275 P
0.0486 0.8203 0.9724 P
0.7883 0.1184 0.5258 P
0.2883 0.6183 0.0257 P
0.8220 0.6096 0.6711 Zn
0.1778 0.3902 0.3287 Zn
0.6777 0.8903 0.8288 Zn
0.3222 0.1096 0.1713 Zn
0.8434 0.6252 0.2806 Ni
0.6565 0.8755 0.2192 Ni
0.1571 0.3750 0.7190 Ni
0.3436 0.1246 0.7808 Ni
```

Output
**E above lowest polymorph**: 12 meV/atom
**Calculated volume**: 11.24 Å³ per atom


An optimized crystal structure of CaV8O8F8, computed with GGA+U.

Structure (POSCAR):
```
CaV8O8F8
1.0
2.4320 3.7176 -2.1063
-9.1711 4.5156 -3.0966
-0.8857 2.8802 4.9521
V Ca O F
8 1 8 8
Direct
0.9955 0.4972 0.5134 V
0.0324 0.0244 0.9390 V
0.4942 0.4927 0.0094 V
0.9854 0.2452 0.2557 V
0.5233 0.7235 0.2679 V
0.4835 0.2695 0.7437 V
0.0151 0.7436 0.7879 V
0.5045 0.0131 0.4890 V
0.0006 0.8934 0.3606 Ca
0.3008 0.1916 0.4848 O
0.6935 0.3317 0.0196 O
0.6728 0.8068 0.5366 O
0.8330 0.0826 0.2599 O
0.6963 0.5615 0.2901 O
0.1717 0.9102 0.7114 O
0.2967 0.6680 0.0058 O
0.2905 0.4399 0.7305 O
0.2061 0.1962 0.9711 F
0.1814 0.4244 0.2398 F
0.3685 0.9278 0.1729 F
0.8069 0.8100 0.0467 F
0.1796 0.6758 0.4838 F
0.8054 0.5734 0.7852 F
0.8016 0.3262 0.5346 F
0.6743 0.0901 0.7771 F
```

Output
**E above lowest polymorph**: 15 meV/atom
**Calculated volume**: 12.09 Å³ per atom


An optimized crystal structure of Fe3OF5, computed with GGA+U.

Structure (POSCAR):
```
Fe3OF5
1.0
4.8073 0.0000 0.0000
-0.0165 5.8072 0.0000
-0.0906 -0.3661 8.0665
O F Fe
2 10 6
Direct
0.3107 0.1935 0.8938 O
0.2061 0.3636 0.5543 O
0.7037 0.4565 0.7577 F
0.8064 0.3059 0.1250 F
0.2886 0.5340 0.2349 F
0.7021 0.1399 0.4385 F
0.1895 0.0424 0.2460 F
0.8023 0.6264 0.4210 F
0.7876 0.9638 0.7519 F
0.3081 0.8781 0.5679 F
0.7008 0.8008 0.0958 F
0.1974 0.6966 0.9002 F
0.0145 0.6553 0.6630 Fe
0.4940 0.4842 0.9980 Fe
0.5042 0.8380 0.3287 Fe
0.0054 0.0119 0.9888 Fe
0.0163 0.3318 0.3522 Fe
0.4624 0.1776 0.6823 Fe
```

Output
**E above lowest polymorph**: 20 meV/atom
**Calculated volume**: 12.51 Å³ per atom


An optimized crystal structure of Li3Fe2Si2O8, computed with GGA+U.

Structure (POSCAR):
```
Li3Fe2Si2O8
1.0
-5.0821 -5.3092 -0.0001
5.4936 -5.2585 0.0663
-5.2487 -0.0627 6.4194
O Fe Si Li
16 4 4 6
Direct
0.6770 0.1855 0.7426 O
0.3314 0.7908 0.2401 O
0.1696 0.0645 0.7574 O
0.8339 0.9556 0.2575 O
0.6855 0.5465 0.7463 O
0.3215 0.4592 0.2600 O
0.5320 0.7887 0.5418 O
0.1526 0.5144 0.0479 O
0.0377 0.2533 0.5292 O
0.8414 0.2944 0.2425 O
0.8238 0.4613 0.9582 O
0.6750 0.0286 0.0411 O
0.9506 0.7356 0.4521 O
0.1818 0.7035 0.7537 O
0.4661 0.2213 0.4589 O
0.3168 0.9967 0.9709 O
0.2492 0.4353 0.5156 Fe
0.5147 0.8147 0.9844 Fe
0.0025 0.3125 0.9947 Fe
0.7472 0.9375 0.5053 Fe
0.1889 0.6250 0.2500 Si
0.8056 0.3638 0.7405 Si
0.2961 0.8862 0.7595 Si
0.6923 0.1250 0.2500 Si
0.4982 0.1942 0.0072 Li
0.2554 0.0558 0.4928 Li
0.0649 0.1250 0.2500 Li
0.5441 0.6250 0.2500 Li
0.7472 0.5598 0.5063 Li
0.0035 0.6902 0.9937 Li
```

Output
**E above lowest polymorph**: 9 meV/atom
**Calculated volume**: 12.02 Å³ per atom


An optimized crystal structure of Ca2Mn3O8, computed with GGA+U.

Structure (POSCAR):
```
Ca2Mn3O8
1.0
-2.4127 -4.9483 3.0757
0.3153 -5.9329 -2.1137
3.7897 -2.2504 2.4191
Mn O Ca
3 8 2
Direct
0.0000 0.0000 0.5000 Mn
0.7420 0.2580 0.0000 Mn
0.2580 0.7420 0.0000 Mn
0.9029 0.9029 0.9033 O
0.6034 0.6034 0.0421 O
0.3235 0.8797 0.6082 O
0.3966 0.3966 0.9579 O
0.6765 0.1203 0.3918 O
0.8797 0.3235 0.6082 O
0.1203 0.6765 0.3918 O
0.0971 0.0971 0.0967 O
0.7230 0.7230 0.3364 Ca
0.2770 0.2770 0.6636 Ca
```

Output
**E above lowest polymorph**: 0 meV/atom
**Calculated volume**: 12.04 Å³ per atom


An optimized crystal structure of Li3V3P8O29, computed with GGA+U.

Structure (POSCAR):
```
Li3V3P8O29
1.0
-3.3912 -8.7761 -2.6791
4.1886 -8.1412 3.4459
-8.7860 0.0748 10.8649
P O V Li
16 58 6 6
Direct
0.0851 0.6873 0.0934 P
0.6675 0.6661 0.6211 P
0.3166 0.7740 0.4094 P
0.3127 0.9149 0.9066 P
0.3339 0.3325 0.3789 P
0.7732 0.3163 0.9079 P
0.7686 0.9137 0.4097 P
0.2260 0.6834 0.5906 P
0.6872 0.0845 0.5952 P
0.9159 0.7677 0.9067 P
0.6634 0.6717 0.1217 P
0.0863 0.2314 0.5903 P
0.3283 0.3366 0.8783 P
0.2323 0.0841 0.0933 P
0.6837 0.2268 0.0921 P
0.9155 0.3128 0.4048 P
0.7444 0.9104 0.9152 O
0.2058 0.7942 0.5000 O
0.4778 0.6187 0.4297 O
0.3431 0.3291 0.2726 O
0.7431 0.3402 0.4112 O
0.1825 0.3318 0.9203 O
0.6699 0.5114 0.5797 O
0.0000 0.2436 0.6819 O
0.2550 0.0869 0.5867 O
0.2559 0.6613 0.0897 O
0.9189 0.3390 0.9134 O
0.9081 0.4738 0.4255 O
0.5123 0.6704 0.0793 O
0.7900 0.0060 0.4978 O
0.5214 0.3809 0.0697 O
0.2336 0.0057 0.8199 O
0.2482 0.7596 0.3183 O
0.4804 0.1874 0.9235 O
0.6598 0.2569 0.5888 O
0.2405 0.9956 0.1800 O
0.7925 0.2075 0.0000 O
0.6610 0.0811 0.0866 O
0.0020 0.7917 0.9994 O
0.9131 0.7450 0.4133 O
0.3387 0.7441 0.9103 O
0.3312 0.3368 0.7723 O
0.9086 0.6150 0.9287 O
0.3813 0.5222 0.5703 O
0.6191 0.4786 0.9303 O
0.7679 0.0005 0.6834 O
0.7592 0.2494 0.8168 O
0.7506 0.2408 0.1832 O
0.8126 0.5196 0.0765 O
0.3367 0.1841 0.4252 O
0.7564 0.0000 0.3181 O
0.0944 0.3832 0.5729 O
0.0044 0.7595 0.8200 O
0.3296 0.4877 0.9207 O
0.5262 0.0919 0.5745 O
0.2404 0.7518 0.6817 O
0.3434 0.9159 0.4174 O
0.9940 0.2100 0.5022 O
0.9995 0.2321 0.3166 O
0.2083 0.9980 0.0006 O
0.6709 0.6569 0.7274 O
0.0896 0.2556 0.0848 O
0.8159 0.6633 0.5748 O
0.4886 0.3301 0.4203 O
0.0956 0.5236 0.0749 O
0.9943 0.7664 0.1801 O
0.3850 0.0914 0.0713 O
0.0841 0.6566 0.5826 O
0.6168 0.9056 0.4271 O
0.4764 0.9044 0.9251 O
0.6682 0.8175 0.0797 O
0.1860 0.4798 0.4228 O
0.5202 0.8140 0.5772 O
0.6632 0.6688 0.2277 O
0.9969 0.4361 0.0076 V
0.5639 0.0031 0.9924 V
0.4318 0.0023 0.5026 V
0.5649 0.4351 0.5000 V
0.9977 0.5682 0.4974 V
0.4359 0.5641 0.0000 V
0.3130 0.7779 0.1964 Li
0.2221 0.6870 0.8036 Li
0.6827 0.2272 0.3116 Li
0.0942 0.2272 0.8050 Li
0.7728 0.3173 0.6884 Li
0.7728 0.9058 0.1950 Li
```

Output
**E above lowest polymorph**: 21 meV/atom
**Calculated volume**: 13.45 Å³ per atom


An optimized crystal structure of LiV3O3F7, computed with GGA+U.

Structure (POSCAR):
```
LiV3O3F7
1.0
-2.4032 -3.7740 -5.9245
5.6302 4.7841 -0.7677
6.1050 -3.6790 4.5098
O F V Li
6 14 6 2
Direct
0.3039 0.2880 0.4988 O
0.4074 0.2179 0.0033 O
0.9524 0.9323 0.5030 O
0.5168 0.0667 0.4968 O
0.7562 0.5700 0.0017 O
0.7625 0.2098 0.9954 O
0.8629 0.5066 0.7353 F
0.9422 0.3012 0.4993 F
0.3497 0.9833 0.7465 F
0.1888 0.8069 0.9967 F
0.1206 0.5101 0.2470 F
0.6050 0.9949 0.2535 F
0.6141 0.5020 0.2588 F
0.3590 0.5095 0.7549 F
0.0992 0.9933 0.2384 F
0.8661 0.0090 0.7615 F
0.5507 0.7768 0.0064 F
0.5374 0.7051 0.5118 F
0.1425 0.6966 0.4912 F
0.2031 0.4195 0.9985 F
0.2618 0.0070 0.4846 V
0.5083 0.4812 0.0164 V
0.2508 0.4817 0.5013 V
0.7681 0.9920 0.5159 V
0.9779 0.5020 0.9836 V
0.5145 0.0205 0.9998 V
0.0630 0.0012 0.9997 Li
0.8286 0.5148 0.5002 Li
```

Output
**Calculated volume**: 13.01 Å³ per atom
**Total DFT energy (no corrections)**: -6.25 eV/atom


An optimized crystal structure of Ba2Fe2O5, computed with GGA+U.

Structure (POSCAR):
```
Ba2Fe2O5
1.0
-7.0092 0.0000 1.0933
0.0000 -11.9267 0.0000
6.9866 0.0000 22.7513
O Ba Fe
70 28 28
Direct
0.4974 0.7477 0.5024 O
0.4488 0.3799 0.3897 O
0.1356 0.2391 0.4231 O
0.1777 0.8962 0.5355 O
0.5717 0.8577 0.8227 O
0.0717 0.6423 0.3227 O
0.5512 0.6201 0.6103 O
0.8546 0.2865 0.1480 O
0.9974 0.7523 0.0024 O
0.5000 0.5000 0.5000 O
0.2429 0.7461 0.6468 O
0.3223 0.3962 0.9645 O
0.7571 0.2539 0.3532 O
0.8223 0.1038 0.4645 O
0.4283 0.1423 0.1773 O
0.6036 0.5027 0.7162 O
0.1325 0.5000 0.4302 O
0.6325 0.0000 0.9302 O
0.9808 0.4889 0.7906 O
0.1858 0.3690 0.5353 O
0.2571 0.2461 0.8532 O
0.7339 0.0161 0.1429 O
0.8675 0.5000 0.5698 O
0.8964 0.0027 0.7838 O
0.7661 0.5161 0.3571 O
0.5192 0.9889 0.7094 O
0.6777 0.6038 0.0355 O
0.8016 0.8696 0.2486 O
0.2339 0.4839 0.6429 O
0.7085 0.2770 0.7737 O
0.4013 0.4893 0.8539 O
0.1984 0.1304 0.7514 O
0.9013 0.0107 0.3539 O
0.1125 0.7573 0.4250 O
0.6858 0.1310 0.0353 O
0.1036 0.9973 0.2162 O
0.6454 0.7865 0.3520 O
0.8644 0.7609 0.5769 O
0.1128 0.4541 0.0733 O
0.0192 0.5111 0.2094 O
0.4808 0.0111 0.2906 O
0.6128 0.0459 0.5733 O
0.8142 0.6310 0.4647 O
0.9283 0.3577 0.6773 O
0.5987 0.5107 0.1461 O
0.6356 0.2609 0.9231 O
0.3872 0.9541 0.4267 O
0.3644 0.7391 0.0769 O
0.7915 0.7770 0.7263 O
0.8872 0.5459 0.9267 O
0.3875 0.2573 0.0750 O
0.3964 0.4973 0.2838 O
0.3675 0.0000 0.0698 O
0.3546 0.2135 0.6480 O
0.8875 0.2427 0.5750 O
0.0512 0.8799 0.1103 O
0.6984 0.3696 0.2514 O
0.6125 0.7427 0.9250 O
0.3142 0.8690 0.9647 O
0.2915 0.7230 0.2263 O
0.3016 0.6304 0.7486 O
0.9488 0.1201 0.8897 O
0.2085 0.2230 0.2737 O
0.0026 0.2477 0.9976 O
0.5026 0.2523 0.4976 O
0.2661 0.9839 0.8571 O
0.0987 0.9893 0.6461 O
0.7429 0.7539 0.1468 O
0.0000 0.0000 0.0000 O
0.1454 0.7135 0.8520 O
0.4207 0.8871 0.1712 Ba
0.0439 0.1163 0.1005 Ba
0.3168 0.1099 0.9647 Ba
0.1781 0.8678 0.3221 Ba
0.8168 0.3901 0.4647 Ba
0.9561 0.8837 0.8995 Ba
0.7864 0.8680 0.4613 Ba
0.1832 0.6099 0.5353 Ba
0.2136 0.1320 0.5387 Ba
0.9207 0.6129 0.6712 Ba
0.7136 0.3680 0.0387 Ba
0.6965 0.6475 0.2580 Ba
0.8035 0.1475 0.2420 Ba
0.4561 0.6163 0.3995 Ba
0.3219 0.3678 0.1779 Ba
0.0793 0.3871 0.3288 Ba
0.9423 0.3508 0.8864 Ba
0.6832 0.8901 0.0353 Ba
0.1965 0.8525 0.7580 Ba
0.5439 0.3837 0.6005 Ba
0.3035 0.3525 0.7420 Ba
0.4423 0.1492 0.3864 Ba
0.5793 0.1129 0.8288 Ba
0.6781 0.6322 0.8221 Ba
0.5577 0.8508 0.6136 Ba
0.0577 0.6492 0.1136 Ba
0.2864 0.6320 0.9613 Ba
0.8219 0.1322 0.6779 Ba
0.8033 0.3994 0.7399 Fe
0.8216 0.1227 0.9648 Fe
0.5785 0.6488 0.1025 Fe
0.6967 0.8994 0.7601 Fe
0.6986 0.9163 0.3146 Fe
0.7975 0.6525 0.9716 Fe
0.4014 0.6026 0.6740 Fe
0.5986 0.3974 0.3260 Fe
0.3033 0.1006 0.2399 Fe
0.6784 0.6227 0.5352 Fe
0.1967 0.6006 0.2601 Fe
0.3014 0.0837 0.6854 Fe
0.7025 0.1525 0.5284 Fe
0.1784 0.8773 0.0352 Fe
0.4215 0.3512 0.8975 Fe
0.0785 0.8512 0.6025 Fe
0.9014 0.8974 0.1740 Fe
0.8014 0.4163 0.1854 Fe
0.9639 0.6208 0.3993 Fe
0.2025 0.3475 0.0284 Fe
0.0986 0.1026 0.8260 Fe
0.2975 0.8475 0.4716 Fe
0.0361 0.3792 0.6007 Fe
0.5361 0.1208 0.1007 Fe
0.1986 0.5837 0.8146 Fe
0.9215 0.1488 0.3975 Fe
0.3216 0.3773 0.4648 Fe
0.4639 0.8792 0.8993 Fe
```

Output
**Calculated volume**: 15.82 Å³ per atom
**Total DFT energy (no corrections)**: -6.47 eV/atom


An optimized crystal structure of Li3Co2O5, computed with GGA+U.

Structure (POSCAR):
```
Li3Co2O5
1.0
-1.7386 -0.6274 -2.2807
6.7478 -1.4528 -3.4359
-2.0374 -7.0548 3.5993
Li Co O
6 4 10
Direct
0.9086 0.8061 0.2123 Li
0.5000 0.0000 0.0000 Li
0.6882 0.3989 0.5943 Li
0.0914 0.1939 0.7877 Li
0.3118 0.6011 0.4057 Li
0.5000 0.0000 0.5000 Li
0.0936 0.1928 0.3121 Co
0.3071 0.5997 0.8957 Co
0.9064 0.8072 0.6879 Co
0.6929 0.4003 0.1043 Co
0.0996 0.2018 0.5276 O
0.2885 0.6172 0.6572 O
0.0990 0.2139 0.0725 O
0.6933 0.4104 0.8556 O
0.7115 0.3828 0.3428 O
0.4707 0.0123 0.2512 O
0.9004 0.7982 0.4724 O
0.9010 0.7861 0.9275 O
0.5293 0.9877 0.7488 O
0.3067 0.5896 0.1444 O
```

Output
**E above lowest polymorph**: 94 meV/atom
**Calculated volume**: 8.87 Å³ per atom


Q: The highest calculated volume belongs to which entry?
A: Ba2Fe2O5